Record 1
PBE Tl2HPtC5N5O, optimized geometry; symmetry = No. 14; ΔH_f (0 K) = 0.0804 eV/atom
1.0
6.782 0.000 0.000
0.000 20.629 0.000
-4.019 0.000 8.288
Tl H Pt C N O
8 4 4 20 20 4
Direct
0.140 0.082 0.209 Tl
0.140 0.418 0.709 Tl
0.235 0.718 0.176 Tl
0.235 0.782 0.676 Tl
0.765 0.218 0.324 Tl
0.765 0.282 0.824 Tl
0.860 0.582 0.291 Tl
0.860 0.918 0.791 Tl
0.087 0.584 0.053 H
0.087 0.916 0.553 H
0.913 0.084 0.447 H
0.913 0.416 0.947 H
0.271 0.119 0.692 Pt
0.271 0.381 0.192 Pt
0.729 0.619 0.808 Pt
0.729 0.881 0.308 Pt
0.068 0.086 0.783 C
0.068 0.414 0.283 C
0.179 0.212 0.703 C
0.179 0.288 0.203 C
0.346 0.027 0.667 C
0.346 0.473 0.167 C
0.468 0.151 0.595 C
0.468 0.349 0.095 C
0.487 0.626 0.586 C
0.487 0.874 0.086 C
0.513 0.126 0.914 C
0.513 0.374 0.414 C
0.532 0.651 0.905 C
0.532 0.849 0.405 C
0.654 0.527 0.833 C
0.654 0.973 0.333 C
0.821 0.712 0.797 C
0.821 0.788 0.297 C
0.932 0.586 0.717 C
0.932 0.914 0.217 C
0.040 0.563 0.660 N
0.040 0.937 0.160 N
0.120 0.234 0.202 N
0.120 0.266 0.702 N
0.347 0.633 0.455 N
0.347 0.867 0.955 N
0.376 0.527 0.147 N
0.376 0.973 0.647 N
0.432 0.671 0.972 N
0.432 0.829 0.472 N
0.568 0.171 0.528 N
0.568 0.329 0.028 N
0.624 0.027 0.353 N
0.624 0.473 0.853 N
0.653 0.133 0.045 N
0.653 0.367 0.545 N
0.880 0.734 0.298 N
0.880 0.766 0.798 N
0.960 0.063 0.840 N
0.960 0.437 0.340 N
0.026 0.116 0.455 O
0.026 0.384 0.955 O
0.974 0.616 0.045 O
0.974 0.884 0.545 O

Record 2
PBE Li2CuSiO4, optimized geometry; symmetry = No. 33; ΔH_f (0 K) = -2.3222 eV/atom; excess energy over the best structure of this formula in the dataset = 21.5 meV/atom
1.0
10.819 0.000 0.000
0.000 5.013 0.000
0.000 0.000 6.339
Li Cu Si O
8 4 4 16
Direct
0.077 0.199 0.000 Li
0.166 0.805 0.250 Li
0.334 0.305 0.750 Li
0.423 0.699 0.500 Li
0.577 0.301 0.000 Li
0.666 0.695 0.250 Li
0.834 0.195 0.750 Li
0.923 0.801 0.500 Li
0.168 0.796 0.747 Cu
0.332 0.296 0.247 Cu
0.668 0.704 0.747 Cu
0.832 0.204 0.247 Cu
0.085 0.310 0.497 Si
0.415 0.810 0.997 Si
0.585 0.190 0.497 Si
0.915 0.690 0.997 Si
0.059 0.796 0.997 O
0.087 0.639 0.496 O
0.157 0.203 0.284 O
0.158 0.203 0.712 O
0.342 0.703 0.212 O
0.343 0.703 0.784 O
0.413 0.139 0.996 O
0.441 0.296 0.497 O
0.559 0.704 0.997 O
0.587 0.861 0.496 O
0.657 0.297 0.284 O
0.658 0.297 0.712 O
0.842 0.797 0.212 O
0.843 0.797 0.784 O
0.913 0.361 0.996 O
0.941 0.204 0.497 O

| no. | E_tot (eV per cell) |
| --- | --- |
| 1 | -420.28 |
| 2 | -195.85 |